(1)
Mn3Ag4O8 after structural relaxation. Source: Materials Project, functional PBE+U.

Properties
Density ... 6.3 g cm⁻³
Spin magnetization ... 36.0 μB per cell

Cell: 8.8888 9.2553 9.2782 Å, 89.84 89.55 89.52°
Atoms (fractional coordinates):
O 0.3020 0.5958 0.3264
O 0.4157 0.3340 0.7129
O 0.6389 0.1334 0.6323
O 0.1680 0.2940 0.9061
O 0.5516 0.5819 0.1510
O 0.9116 0.6648 0.7886
O 0.8022 0.4044 0.1689
O 0.7053 0.8996 0.8294
O 0.9590 0.0754 0.8386
O 0.6557 0.9603 0.4233
O 0.6137 0.3857 0.3826
O 0.3627 0.5389 0.9193
O 0.1182 0.6179 0.1124
O 0.2063 0.1065 0.6741
O 0.8882 0.8794 0.6191
O 0.3901 0.1186 0.8825
O 0.8671 0.4601 0.5761
O 0.1403 0.8646 0.8647
O 0.4547 0.9260 0.6626
O 0.3371 0.7907 0.0961
O 0.1548 0.0387 0.0783
O 0.5985 0.1689 0.2124
O 0.5954 0.3472 0.9628
O 0.1050 0.8328 0.2830
O 0.8398 0.2161 0.3977
O 0.3694 0.3688 0.1329
O 0.9124 0.8432 0.0361
O 0.4165 0.1520 0.4592
O 0.8676 0.6364 0.3658
O 0.6655 0.7095 0.5952
O 0.0506 0.4260 0.3400
O 0.0917 0.6601 0.5339
Ag 0.1204 0.3625 0.6160
Ag 0.7286 0.9948 0.1102
Ag 0.9897 0.1606 0.2024
Ag 0.4079 0.5023 0.5301
Ag 0.4905 0.8886 0.9490
Ag 0.7897 0.2153 0.9138
Ag 0.6732 0.3852 0.6918
Ag 0.8808 0.9020 0.3452
Ag 0.2507 0.2858 0.3406
Ag 0.2989 0.9786 0.3355
Ag 0.6255 0.6239 0.8713
Ag 0.2655 0.8120 0.5901
Ag 0.9876 0.1061 0.5557
Ag 0.9527 0.4761 0.9782
Ag 0.1774 0.6013 0.7826
Ag 0.5464 0.7417 0.3472
Mn 0.6277 0.1690 0.4138
Mn 0.1260 0.8333 0.0756
Mn 0.3420 0.5840 0.1214
Mn 0.9192 0.8695 0.8345
Mn 0.8383 0.4245 0.3700
Mn 0.0907 0.6270 0.3268
Mn 0.4187 0.1292 0.6684
Mn 0.1686 0.0892 0.8782
Mn 0.3793 0.3314 0.9212
Mn 0.6657 0.9148 0.6282
Mn 0.8777 0.6663 0.5826
Mn 0.5917 0.3772 0.1674

=====

(2)
Mn3Ag4O8 after structural relaxation. Source: Materials Project, functional PBE+U.

Properties
Density ... 6.4 g cm⁻³
Spin magnetization ... 36.0 μB per cell

Cell: 9.0752 9.0752 9.0752 Å, 90.53 90.53 90.53°
Atoms (fractional coordinates):
O 0.2581 0.9901 0.4910
O 0.5806 0.7774 0.5419
O 0.9707 0.7070 0.0811
O 0.4194 0.4581 0.2226
O 0.7419 0.5090 0.0099
O 0.4581 0.2226 0.4194
O 0.2760 0.2084 0.6711
O 0.8283 0.9589 0.5254
O 0.5419 0.5806 0.7774
O 0.4910 0.2581 0.9901
O 0.7596 0.7596 0.7596
O 0.9589 0.5254 0.8283
O 0.0811 0.9707 0.7070
O 0.4746 0.0411 0.1717
O 0.0411 0.1717 0.4746
O 0.7070 0.0811 0.9707
O 0.6711 0.2760 0.2084
O 0.5090 0.0099 0.7419
O 0.2084 0.6711 0.2760
O 0.3289 0.7916 0.7240
O 0.7916 0.7240 0.3289
O 0.9901 0.4910 0.2581
O 0.9189 0.2930 0.0293
O 0.2226 0.4194 0.4581
O 0.2930 0.0293 0.9189
O 0.7240 0.3289 0.7916
O 0.2404 0.2404 0.2404
O 0.0099 0.7419 0.5090
O 0.7774 0.5419 0.5806
O 0.5254 0.8283 0.9589
O 0.1717 0.4746 0.0411
O 0.0293 0.9189 0.2930
Mn 0.7494 0.5401 0.7901
Mn 0.7901 0.7494 0.5401
Mn 0.0000 0.7081 0.2919
Mn 0.2919 0.0000 0.7081
Mn 0.5000 0.0390 0.9610
Mn 0.7081 0.2919 0.0000
Mn 0.4599 0.2506 0.2099
Mn 0.0390 0.9610 0.5000
Mn 0.5401 0.7901 0.7494
Mn 0.2099 0.4599 0.2506
Mn 0.9610 0.5000 0.0390
Mn 0.2506 0.2099 0.4599
Ag 0.0000 0.3356 0.6644
Ag 0.7861 0.8646 0.0563
Ag 0.2139 0.9437 0.1354
Ag 0.7881 0.3846 0.3945
Ag 0.1354 0.2139 0.9437
Ag 0.5000 0.5000 0.5000
Ag 0.9437 0.1354 0.2139
Ag 0.3356 0.6644 0.0000
Ag 0.6055 0.6154 0.2119
Ag 0.8646 0.0563 0.7861
Ag 0.3846 0.3945 0.7881
Ag 0.2119 0.6055 0.6154
Ag 0.6154 0.2119 0.6055
Ag 0.0563 0.7861 0.8646
Ag 0.3945 0.7881 0.3846
Ag 0.6644 0.0000 0.3356

=====

Most stable pick: (2). Distance to second place: 0.020 eV/atom.

=====

(1)
Li3FeF6 after structural relaxation. Source: Materials Project, functional PBE+U.

Properties
Density ... 3.0 g cm⁻³
Spin magnetization ... 10.0 μB per cell

Cell: 5.2302 5.1605 9.2614 Å, 56.40 90.00 90.00°
Atoms (fractional coordinates):
Fe 0.5000 0.0000 0.5000
Fe 0.0000 0.0000 0.0000
Li 0.5328 0.7410 0.2643
Li 0.4672 0.2590 0.7357
Li 0.0000 0.5000 0.5000
Li 0.5000 0.5000 0.0000
Li 0.0328 0.2590 0.2357
Li 0.9672 0.7410 0.7643
F 0.6732 0.6196 0.5560
F 0.4112 0.1039 0.2662
F 0.6852 0.2441 0.9160
F 0.1732 0.3804 0.9440
F 0.3268 0.3804 0.4440
F 0.1852 0.7559 0.5840
F 0.5888 0.8961 0.7338
F 0.0888 0.1039 0.7662
F 0.8148 0.2441 0.4160
F 0.8268 0.6196 0.0560
F 0.9112 0.8961 0.2338
F 0.3148 0.7559 0.0840

=====

(2)
Li3FeF6 after structural relaxation. Source: Materials Project, functional PBE+U.

Properties
Density ... 2.9 g cm⁻³
Spin magnetization ... 20.0 μB per cell

Cell: 9.1510 9.1510 9.2233 Å, 87.51 87.51 34.22°
Atoms (fractional coordinates):
F 0.6699 0.6660 0.0286
F 0.5003 0.3256 0.2198
F 0.1727 0.1585 0.9861
F 0.6744 0.4997 0.2802
F 0.3256 0.5003 0.7198
F 0.1473 0.0047 0.2362
F 0.3340 0.3301 0.4714
F 0.6660 0.6699 0.5286
F 0.0672 0.4215 0.7046
F 0.2237 0.7415 0.9634
F 0.9328 0.5785 0.2954
F 0.8415 0.8273 0.5139
F 0.1585 0.1727 0.4861
F 0.8527 0.9953 0.7638
F 0.3301 0.3340 0.9714
F 0.7763 0.2585 0.0366
F 0.5785 0.9328 0.7954
F 0.8273 0.8415 0.0139
F 0.9953 0.8527 0.2638
F 0.4215 0.0672 0.2046
F 0.4997 0.6744 0.7802
F 0.2585 0.7763 0.5366
F 0.0047 0.1473 0.7362
F 0.7415 0.2237 0.4634
Li 0.6075 0.1679 0.6086
Li 0.6100 0.0400 0.3227
Li 0.3900 0.9600 0.6773
Li 0.1685 0.6683 0.4480
Li 0.3925 0.8321 0.3914
Li 0.8321 0.3925 0.8914
Li 0.6683 0.1685 0.9480
Li 0.0400 0.6100 0.8227
Li 0.8315 0.3317 0.5520
Li 0.3317 0.8315 0.0520
Li 0.9600 0.3900 0.1773
Li 0.1679 0.6075 0.1086
Fe 0.8005 0.1995 0.2500
Fe 0.5000 0.0000 0.0000
Fe 0.1995 0.8005 0.7500
Fe 0.0000 0.5000 0.5000

=====

Most stable pick: (1). Distance to second place: 0.014 eV/atom.